This record from the Materials Project database describes a geometry-optimized LiMnO2 structure. The functional is PBE with a Hubbard U.

Cell and atoms, written as CIF:
```
data_LiMnO2
_cell_length_a 5.9711
_cell_length_b 5.9714
_cell_length_c 8.4278
_cell_angle_alpha 89.70
_cell_angle_beta 89.92
_cell_angle_gamma 89.45
_symmetry_space_group_name_H-M 'P 1'
_symmetry_Int_Tables_number 1
loop_
_symmetry_equiv_pos_as_xyz
'x,y,z'
loop_
_atom_site_label
_atom_site_type_symbol
_atom_site_fract_x
_atom_site_fract_y
_atom_site_fract_z
Li1 Li 0.0000 0.0000 0.0000
Li2 Li 0.2448 0.7541 0.7533
Li3 Li 0.2469 0.2529 0.2515
Li4 Li 0.2483 0.2534 0.7484
Li5 Li 0.5000 0.5000 0.5000
Li6 Li 0.7517 0.7466 0.2516
Li7 Li 0.7531 0.7471 0.7485
Li8 Li 0.7552 0.2459 0.2467
Mn1 Mn 0.0000 0.0000 0.5000
Mn2 Mn 0.0000 0.5000 0.0000
Mn3 Mn 0.0000 0.5000 0.5000
Mn4 Mn 0.2486 0.7483 0.2514
Mn5 Mn 0.5000 0.0000 0.0000
Mn6 Mn 0.5000 0.0000 0.5000
Mn7 Mn 0.5000 0.5000 0.0000
Mn8 Mn 0.7514 0.2517 0.7486
O1 O 0.0141 0.5143 0.2684
O2 O 0.0175 0.9825 0.2719
O3 O 0.2151 0.2478 0.4991
O4 O 0.2283 0.7531 0.9922
O5 O 0.2514 0.7848 0.5165
O6 O 0.2549 0.2764 0.0000
O7 O 0.4817 0.5180 0.2368
O8 O 0.4850 0.9842 0.2621
O9 O 0.5150 0.0158 0.7379
O10 O 0.5183 0.4820 0.7632
O11 O 0.7451 0.7236 0.0000
O12 O 0.7486 0.2152 0.4835
O13 O 0.7717 0.2469 0.0078
O14 O 0.7849 0.7522 0.5009
O15 O 0.9825 0.0175 0.7281
O16 O 0.9859 0.4857 0.7316
```

Output
Total magnetic moment in μB per atom: 1.00
Symmetry: P-1 (2)
Formation energy in kJ/mol of atoms: -204.2